Record 1
LiMnF3, relaxed, DFT GGA+U; energy above the most stable polymorph in this dataset = 0.04 eV per formula unit; SG = Pnna, No. 52; energy with MP2020 corrections = -6.38 eV/atom
1.0
5.385 0.000 0.000
0.000 5.048 0.000
0.000 0.000 9.007
Li Mn F
4 4 12
direct
0.250 0.000 0.188
0.250 0.500 0.312
0.750 0.000 0.812
0.750 0.500 0.688
0.250 0.000 0.598
0.250 0.500 0.902
0.750 0.000 0.402
0.750 0.500 0.098
0.048 0.250 0.750
0.085 0.219 0.413
0.085 0.281 0.087
0.415 0.719 0.087
0.415 0.781 0.413
0.452 0.750 0.750
0.548 0.250 0.250
0.585 0.219 0.587
0.585 0.281 0.913
0.915 0.719 0.913
0.915 0.781 0.587
0.952 0.750 0.250



Record 2
LiMnF5, relaxed, DFT GGA+U; energy above the most stable polymorph in this dataset = 0.06 eV per formula unit; SG = I4_1/a, No. 88; energy with MP2020 corrections = -5.62 eV/atom
1.0
-7.097 7.097 3.364
7.097 -7.097 3.364
7.097 7.097 -3.364
Li Mn F
8 8 40
direct
0.117 0.834 0.044
0.289 0.072 0.456
0.334 0.789 0.717
0.428 0.383 0.217
0.572 0.617 0.783
0.666 0.211 0.283
0.711 0.928 0.544
0.883 0.166 0.956
0.176 0.128 0.854
0.178 0.324 0.452
0.226 0.678 0.354
0.372 0.726 0.048
0.628 0.274 0.952
0.774 0.322 0.646
0.822 0.676 0.548
0.824 0.872 0.146
0.000 0.215 0.556
0.000 0.785 0.444
0.056 0.500 0.715
0.076 0.911 0.911
0.083 0.959 0.680
0.087 0.001 0.178
0.097 0.417 0.376
0.159 0.444 0.944
0.211 0.733 0.996
0.221 0.597 0.180
0.233 0.737 0.522
0.237 0.216 0.504
0.284 0.289 0.022
0.285 0.341 0.785
0.324 0.909 0.322
0.335 0.424 0.335
0.409 0.587 0.586
0.411 0.000 0.835
0.459 0.279 0.876
0.499 0.176 0.086
0.500 0.165 0.589
0.500 0.835 0.411
0.501 0.824 0.914
0.541 0.721 0.124
0.589 0.000 0.165
0.591 0.413 0.414
0.665 0.576 0.665
0.676 0.091 0.678
0.715 0.659 0.215
0.716 0.711 0.978
0.763 0.784 0.496
0.767 0.263 0.478
0.779 0.403 0.820
0.789 0.267 0.004
0.841 0.556 0.056
0.903 0.583 0.624
0.913 0.999 0.822
0.917 0.041 0.320
0.924 0.089 0.089
0.944 0.500 0.285



Record 3
Li2MnF6, relaxed, DFT GGA+U; energy above the most stable polymorph in this dataset = 0.72 eV per formula unit; SG = P-3m1, No. 164; energy with MP2020 corrections = -5.50 eV/atom
1.0
5.740 0.000 0.000
-2.870 4.971 0.000
0.000 0.000 4.860
Li Mn F
2 1 6
direct
0.333 0.667 0.274
0.667 0.333 0.726
0.000 0.000 0.000
0.151 0.302 0.218
0.151 0.849 0.218
0.302 0.151 0.782
0.698 0.849 0.218
0.849 0.151 0.782
0.849 0.698 0.782



Record 4
LiMnF3, relaxed, DFT GGA+U; energy above the most stable polymorph in this dataset = 0.14 eV per formula unit; SG = Pbcn, No. 60; energy with MP2020 corrections = -6.36 eV/atom
1.0
10.068 0.000 0.000
0.000 9.340 0.000
0.000 0.000 5.891
Li Mn F
8 8 24
direct
0.203 0.080 0.049
0.203 0.920 0.549
0.297 0.420 0.549
0.297 0.580 0.049
0.703 0.420 0.951
0.703 0.580 0.451
0.797 0.080 0.451
0.797 0.920 0.951
0.000 0.218 0.750
0.000 0.406 0.250
0.000 0.594 0.750
0.000 0.782 0.250
0.500 0.094 0.750
0.500 0.282 0.250
0.500 0.718 0.750
0.500 0.906 0.250
0.099 0.249 0.069
0.099 0.751 0.569
0.104 0.413 0.586
0.104 0.587 0.086
0.154 0.070 0.735
0.154 0.930 0.235
0.346 0.430 0.235
0.346 0.570 0.735
0.396 0.087 0.086
0.396 0.913 0.586
0.401 0.251 0.569
0.401 0.749 0.069
0.599 0.251 0.931
0.599 0.749 0.431
0.604 0.087 0.414
0.604 0.913 0.914
0.654 0.430 0.265
0.654 0.570 0.765
0.846 0.070 0.765
0.846 0.930 0.265
0.896 0.413 0.914
0.896 0.587 0.414
0.901 0.249 0.431
0.901 0.751 0.931



Record 5
Li3MnF6, relaxed, DFT GGA+U; energy above the most stable polymorph in this dataset = 0.21 eV per formula unit; SG = P-1, No. 2; energy with MP2020 corrections = -5.64 eV/atom
1.0
5.907 0.000 0.000
-0.193 6.110 0.000
-0.017 -0.098 6.171
Li Mn F
6 2 12
direct
0.056 0.260 0.066
0.252 0.951 0.458
0.438 0.443 0.768
0.562 0.557 0.232
0.748 0.049 0.542
0.944 0.740 0.934
0.000 0.500 0.500
0.500 0.000 0.000
0.047 0.191 0.394
0.095 0.451 0.806
0.201 0.920 0.063
0.300 0.593 0.448
0.417 0.306 0.079
0.428 0.085 0.696
0.572 0.915 0.304
0.583 0.694 0.921
0.700 0.407 0.552
0.799 0.080 0.937
0.905 0.549 0.194
0.953 0.809 0.606



Record 6
LiMnF3, relaxed, DFT GGA+U; energy above the most stable polymorph in this dataset = 0.23 eV per formula unit; SG = Cmcm, No. 63; energy with MP2020 corrections = -6.34 eV/atom
1.0
1.515 -4.830 0.000
1.515 4.830 0.000
0.000 0.000 7.107
Li Mn F
2 2 6
direct
0.000 0.000 0.000
0.000 0.000 0.500
0.255 0.745 0.750
0.745 0.255 0.250
0.087 0.913 0.250
0.356 0.644 0.067
0.356 0.644 0.433
0.644 0.356 0.567
0.644 0.356 0.933
0.913 0.087 0.750



Record 7
Li4MnF7, relaxed, DFT GGA+U; energy above the most stable polymorph in this dataset = 0.31 eV per formula unit; SG = C2/c, No. 15; energy with MP2020 corrections = -5.52 eV/atom
1.0
6.249 -4.482 0.000
6.249 4.482 0.000
-1.274 0.000 5.262
Li Mn F
8 2 14
direct
0.079 0.194 0.242
0.194 0.079 0.742
0.261 0.442 0.670
0.442 0.261 0.170
0.558 0.739 0.830
0.739 0.558 0.330
0.806 0.921 0.258
0.921 0.806 0.758
0.260 0.740 0.250
0.740 0.260 0.750
0.049 0.951 0.250
0.117 0.286 0.579
0.163 0.659 0.919
0.286 0.117 0.079
0.313 0.494 0.358
0.341 0.837 0.581
0.494 0.313 0.858
0.506 0.687 0.142
0.659 0.163 0.419
0.687 0.506 0.642
0.714 0.883 0.921
0.837 0.341 0.081
0.883 0.714 0.421
0.951 0.049 0.750



Record 8
LiMnF3, relaxed, DFT GGA+U; energy above the most stable polymorph in this dataset = 0.09 eV per formula unit; SG = P2_1/c, No. 14; energy with MP2020 corrections = -6.37 eV/atom
1.0
10.289 0.000 0.000
0.000 9.276 0.000
-1.477 0.000 5.525
Li Mn F
8 8 24
direct
0.045 0.165 0.245
0.045 0.335 0.745
0.438 0.166 0.652
0.438 0.334 0.152
0.562 0.666 0.848
0.562 0.834 0.348
0.955 0.665 0.255
0.955 0.835 0.755
0.259 0.040 0.059
0.259 0.460 0.559
0.259 0.656 0.053
0.259 0.844 0.553
0.741 0.156 0.447
0.741 0.344 0.947
0.741 0.540 0.441
0.741 0.960 0.941
0.115 0.198 0.975
0.115 0.302 0.475
0.140 0.514 0.811
0.140 0.986 0.311
0.151 0.659 0.337
0.151 0.841 0.837
0.357 0.012 0.781
0.357 0.488 0.281
0.365 0.664 0.762
0.365 0.836 0.262
0.396 0.167 0.308
0.396 0.333 0.808
0.604 0.667 0.192
0.604 0.833 0.692
0.635 0.164 0.738
0.635 0.336 0.238
0.643 0.512 0.719
0.643 0.988 0.219
0.849 0.159 0.163
0.849 0.341 0.663
0.860 0.014 0.689
0.860 0.486 0.189
0.885 0.698 0.525
0.885 0.802 0.025



Total moment, respectively: 20.00, 24.00, 3.00, 40.00, 8.00, 10.00, 8.00, 40.01 Bohr magnetons per cell.